Here is ErBPd3 after structural relaxation from Materials Project. Energies are from PBE.

- space group = Pm-3m
- magnetization (μB per atom) = 0.00
- formation enthalpy at 0 K (eV per atom) = -0.6363

abc: 4.3047 4.3047 4.3047
angles: 90.00 90.00 90.00
With the nearest neighbours (Å) after each atom.
Element x y z (fractional)
Er 0.0000 0.0000 0.0000  12 Pd 3.04
B 0.5000 0.5000 0.5000  6 Pd 2.15
Pd 0.0000 0.5000 0.5000  2 B 2.15
Pd 0.5000 0.5000 0.0000  2 B 2.15
Pd 0.5000 0.0000 0.5000  2 B 2.15

---

Here is Ca3Tl4O9 after structural relaxation from Materials Project. Energies are from PBE.

- space group = Cm
- corrected total energy (MP2020 scheme) (eV per atom) = -5.68
- formation enthalpy at 0 K (eV per atom) = -1.9331

abc: 5.8941 5.8941 12.4502
angles: 77.78 77.78 33.45
With the nearest neighbours (Å) after each atom.
Element x y z (fractional)
Ca 0.4516 0.4516 0.2900  6 O 2.35-2.61
Ca 0.5491 0.5491 0.7102  6 O 2.32-2.59
Ca 0.7598 0.7598 0.8715  6 O 2.26-2.47
Tl 0.8499 0.8499 0.5642  2 O 2.13-2.22
Tl 0.1510 0.1510 0.4384  6 O 2.19-2.44
Tl 0.9987 0.9987 0.9968  4 O 2.15-2.41
Tl 0.2375 0.2375 0.1267  6 O 2.19-2.40
O 0.8096 0.8096 0.3979  3 Tl 2.22-2.44
O 0.1933 0.1933 0.6033  3 Tl 2.21-2.42
O 0.9075 0.9075 0.7158  1 Tl 2.13, 3 Ca 2.26-2.32
O 0.0973 0.0973 0.2798  2 Tl 2.19, 2 Ca 2.35
O 0.8750 0.8750 0.1612  3 Tl 2.21-2.40
O 0.1230 0.1230 0.8385  1 Tl 2.15, 2 Ca 2.39
O 0.6279 0.6279 0.0588  4 Tl 2.36-2.47, 1 Ca 2.47
O 0.3654 0.3654 0.9538  3 Tl 2.31-2.41, 2 Ca 2.43
O 0.5032 0.5032 0.4933  4 Tl 2.37-2.44

---

Here is TiCrCuS4 after structural relaxation from Materials Project. Energies are from PBE.

- energy above the most stable polymorph in this dataset (meV/atom) = 203
- space group = Pnma
- magnetization (μB per atom) = 0.43
- corrected total energy (MP2020 scheme) (eV per atom) = -6.44
- formation enthalpy at 0 K (eV per atom) = -0.9839

abc: 11.4024 3.4338 12.0544
angles: 90.00 90.00 90.00
With the nearest neighbours (Å) after each atom.
Element x y z (fractional)
Ti 0.1466 0.2500 0.7063  6 S 2.43-2.52
Ti 0.8534 0.7500 0.2937  6 S 2.43-2.52
Ti 0.3534 0.7500 0.2063  6 S 2.43-2.52
Ti 0.6466 0.2500 0.7937  6 S 2.43-2.52
Cr 0.1134 0.2500 0.0719  6 S 2.37-2.47
Cr 0.8866 0.7500 0.9281  6 S 2.37-2.47
Cr 0.3866 0.7500 0.5719  6 S 2.37-2.47
Cr 0.6134 0.2500 0.4281  6 S 2.37-2.47
Cu 0.1231 0.7500 0.4230  5 S 2.50-2.58
Cu 0.8769 0.2500 0.5770  5 S 2.50-2.58
Cu 0.3769 0.2500 0.9230  5 S 2.50-2.58
Cu 0.6231 0.7500 0.0770  5 S 2.50-2.58
S 0.0336 0.7500 0.6122  2 Ti 2.43, 3 Cu 2.50-2.51
S 0.9664 0.2500 0.3878  2 Ti 2.43, 3 Cu 2.50-2.51
S 0.4664 0.2500 0.1122  2 Ti 2.43, 3 Cu 2.50-2.51
S 0.5336 0.7500 0.8878  2 Ti 2.43, 3 Cu 2.50-2.51
S 0.0291 0.2500 0.8829  3 Cr 2.43-2.47, 1 Ti 2.52
S 0.9709 0.7500 0.1171  3 Cr 2.43-2.47, 1 Ti 2.52
S 0.4709 0.7500 0.3829  3 Cr 2.43-2.47, 1 Ti 2.52
S 0.5291 0.2500 0.6171  3 Cr 2.43-2.47, 1 Ti 2.52
S 0.2092 0.2500 0.2530  1 Cr 2.44, 2 Ti 2.44
S 0.7908 0.7500 0.7470  1 Cr 2.44, 2 Ti 2.44
S 0.2908 0.7500 0.7530  1 Cr 2.44, 2 Ti 2.44
S 0.7092 0.2500 0.2470  1 Cr 2.44, 2 Ti 2.44
S 0.2471 0.7500 0.0248  2 Cr 2.37, 1 Ti 2.50, 2 Cu 2.58
S 0.7529 0.2500 0.9752  2 Cr 2.37, 1 Ti 2.50, 2 Cu 2.58
S 0.2529 0.2500 0.5248  2 Cr 2.37, 1 Ti 2.50, 2 Cu 2.58
S 0.7471 0.7500 0.4752  2 Cr 2.37, 1 Ti 2.50, 2 Cu 2.58

---

Here is LiMg3 after structural relaxation from Materials Project. Energies are from PBE.

- space group = P6_3/mmc
- formation enthalpy at 0 K (eV per atom) = -0.0236

abc: 6.2962 6.2962 5.1229
angles: 90.00 90.00 120.00
With the nearest neighbours (Å) after each atom.
Element x y z (fractional)
Li 0.3333 0.6667 0.2500  12 Mg 3.13-3.15
Li 0.6667 0.3333 0.7500  12 Mg 3.13-3.15
Mg 0.8316 0.1684 0.2500  8 Mg 3.12-3.18, 4 Li 3.13-3.15
Mg 0.8316 0.6632 0.2500  8 Mg 3.12-3.18, 4 Li 3.13-3.15
Mg 0.3368 0.1684 0.2500  8 Mg 3.12-3.18, 4 Li 3.13-3.15
Mg 0.6632 0.8316 0.7500  8 Mg 3.12-3.18, 4 Li 3.13-3.15
Mg 0.1684 0.8316 0.7500  8 Mg 3.12-3.18, 4 Li 3.13-3.15
Mg 0.1684 0.3368 0.7500  8 Mg 3.12-3.18, 4 Li 3.13-3.15